# 1
Si9Ni25 (r2SCAN, relaxed); DFT formation energy = -0.438 eV per atom; calculated volume = 361.5 Å³/f.u.
1.0
3.311 -5.735 0.000
3.311 5.735 0.000
0.000 0.000 9.520
Ni Si
25 9
Cartesian
4.213 0.413 1.790
0.000 0.000 2.327
1.285 1.709 8.808
2.293 0.370 5.399
4.137 -3.564 4.120
2.473 -3.768 0.712
4.499 0.258 8.808
0.000 0.000 7.193
4.149 3.768 8.808
1.562 1.880 1.790
3.311 -1.912 2.255
2.485 3.564 5.399
3.311 -1.912 5.808
1.467 -1.801 4.120
3.311 1.912 7.265
2.409 -0.413 7.729
5.060 -1.880 7.729
3.311 1.912 3.712
4.329 -0.370 4.120
0.000 0.000 4.760
4.158 3.442 1.790
2.464 -3.442 7.729
2.123 -0.258 0.712
5.156 1.801 5.399
5.337 -1.709 0.712
4.376 -3.805 6.449
2.204 0.043 3.071
1.140 -1.887 6.449
3.311 -1.912 9.286
4.418 -0.043 6.449
0.000 0.000 0.000
2.247 3.805 3.071
5.483 1.887 3.071
3.311 1.912 0.234

# 2
LiYGe (r2SCAN, relaxed); DFT formation energy = -0.828 eV per atom; calculated volume = 61.3 Å³/f.u.
1.0
7.085 0.000 0.000
-3.543 6.136 0.000
0.000 0.000 4.230
Y Li Ge
3 3 3
Cartesian
4.096 0.000 0.000
-2.048 3.548 0.000
1.494 2.588 0.000
-0.826 1.430 2.115
2.717 4.706 2.115
1.651 0.000 2.115
3.543 2.045 2.115
0.000 0.000 0.000
0.000 4.091 2.115

# 3
DyFe2Ge2 (r2SCAN, relaxed); DFT formation energy = -0.479 eV per atom; calculated volume = 82.9 Å³/f.u.
1.0
3.685 0.000 -1.305
-0.462 3.656 -1.305
0.082 0.092 6.086
Ge Fe Dy
2 2 1
Cartesian
1.306 1.482 3.689
1.998 2.267 -0.213
2.689 0.960 1.738
0.615 2.788 1.738
0.000 0.000 0.000

The lowest calculated volume belongs to which entry?
LiYGe

Which value of DFT formation energy does entry 3 give?
-0.479 eV per atom

The lowest DFT formation energy belongs to which entry?
LiYGe

Repeat the third record exactly.
DyFe2Ge2 (r2SCAN, relaxed); DFT formation energy = -0.479 eV per atom; calculated volume = 82.9 Å³/f.u.
1.0
3.685 0.000 -1.305
-0.462 3.656 -1.305
0.082 0.092 6.086
Ge Fe Dy
2 2 1
Cartesian
1.306 1.482 3.689
1.998 2.267 -0.213
2.689 0.960 1.738
0.615 2.788 1.738
0.000 0.000 0.000